The following is a r2SCAN calculation of an optimized crystal structure of PmCdAg2, from Materials Project.

Cell: 7.0514 7.0514 7.0514 Å, 90.00 90.00 90.00°
Space group Fm-3m (No. 225)
Symmetry-distinct sites (fractional):
Pm (0.0000, 0.0000, 0.0000)
Cd (0.0000, 0.0000, 0.5000)
Ag (0.2500, 0.2500, 0.2500)

Formation energy ... -288 meV per atom



The following is a r2SCAN calculation of an optimized crystal structure of Ac2CuIr, from Materials Project.

Cell: 7.4673 7.4673 7.4673 Å, 90.00 90.00 90.00°
Space group Fm-3m (No. 225)
Symmetry-distinct sites (fractional):
Ac (0.2500, 0.2500, 0.2500)
Cu (0.0000, 0.0000, 0.0000)
Ir (0.0000, 0.0000, 0.5000)

Formation energy ... -342 meV per atom



The following is a r2SCAN calculation of an optimized crystal structure of As2O3, from Materials Project.

Cell: 11.1472 11.1472 11.1472 Å, 90.00 90.00 90.00°
Space group Fd-3m (No. 227, origin choice 2)
Symmetry-distinct sites (fractional):
As (0.0221, 0.0221, 0.2279)
O (0.0487, 0.3750, 0.3750)

Formation energy ... -1279 meV per atom



The following is a r2SCAN calculation of an optimized crystal structure of Cs4GeO4, from Materials Project.

Cell: 7.1409 19.0996 7.1276 Å, 90.00 114.47 90.00°
Space group P2_1/c (No. 14)
Symmetry-distinct sites (fractional):
Cs (0.1593, 0.1865, 0.2090)
Cs (0.2159, 0.5131, 0.7823)
Cs (0.3324, 0.7100, 0.8058)
Cs (0.3326, 0.5734, 0.3099)
Ge (0.2397, 0.1241, 0.7511)
O (0.0006, 0.6571, 0.9304)
O (0.2056, 0.0624, 0.9226)
O (0.3853, 0.0850, 0.6265)
O (0.3968, 0.1926, 0.9131)

Formation energy ... -1749 meV per atom
Offset from the most stable computed form ... 2 meV/atom



The following is a r2SCAN calculation of an optimized crystal structure of Tb3Nd, from Materials Project.

Cell: 5.0886 5.0886 10.1585 Å, 90.00 90.00 90.00°
Space group I4/mmm (No. 139)
Symmetry-distinct sites (fractional):
Tb (0.0000, 0.0000, 0.0000)
Tb (0.0000, 0.5000, 0.2500)
Nd (0.0000, 0.0000, 0.5000)

Formation energy ... 32 meV per atom
Offset from the most stable computed form ... 28 meV/atom



The following is a r2SCAN calculation of an optimized crystal structure of CdSe, from Materials Project.

Cell: 4.3461 4.3461 7.0898 Å, 90.00 90.00 120.00°
Space group P6_3mc (No. 186)
Symmetry-distinct sites (fractional):
Cd (0.3333, 0.6667, 0.0000)
Se (0.3333, 0.6667, 0.3760)

Formation energy ... -750 meV per atom



The following is a r2SCAN calculation of an optimized crystal structure of SiO2, from Materials Project.

Cell: 6.9471 8.3755 5.4629 Å, 90.00 101.17 90.00°
Space group C2 (No. 5)
Symmetry-distinct sites (fractional):
Si (0.2163, 0.0000, 0.2890)
Si (0.2311, 0.1259, 0.7923)
O (0.0008, 0.0781, 0.7504)
O (0.1770, 0.5819, 0.9192)
O (0.1820, 0.5302, 0.4215)
O (0.2220, 0.8111, 0.2428)

Formation energy ... -2952 meV per atom



The following is a r2SCAN calculation of an optimized crystal structure of Nd3CoGe2, from Materials Project.

Cell: 11.9388 4.2863 11.5430 Å, 90.00 90.00 90.00°
Space group Pnma (No. 62)
Symmetry-distinct sites (fractional):
Nd (0.0551, 0.2500, 0.1306)
Nd (0.1203, 0.7500, 0.5592)
Nd (0.2208, 0.2500, 0.8006)
Co (0.1319, 0.2500, 0.3732)
Ge (0.0228, 0.7500, 0.3177)
Ge (0.1941, 0.7500, 0.9944)

Formation energy ... -708 meV per atom



The following is a r2SCAN calculation of an optimized crystal structure of Co3TeO6, from Materials Project.

Cell: 14.4483 8.7163 10.3941 Å, 90.00 96.55 90.00°
Space group C2/c (No. 15)
Symmetry-distinct sites (fractional):
Co (0.0000, 0.1735, 0.2500)
Co (0.0147, 0.3369, 0.5219)
Co (0.1515, 0.1610, 0.7614)
Co (0.1666, 0.3051, 0.0520)
Co (0.2054, 0.1416, 0.4240)
Te (0.0000, 0.0000, 0.0000)
Te (0.1553, 0.4987, 0.2957)
O (0.0712, 0.1718, 0.9401)
O (0.0735, 0.1661, 0.4350)
O (0.0743, 0.0036, 0.1666)
O (0.0822, 0.4930, 0.9448)
O (0.0907, 0.3350, 0.1989)
O (0.0911, 0.3427, 0.6919)
O (0.2214, 0.3199, 0.8746)
O (0.2415, 0.3546, 0.3919)
O (0.2477, 0.4767, 0.1666)

Formation energy ... -1113 meV per atom



The following is a r2SCAN calculation of an optimized crystal structure of DyMg2, from Materials Project.

Cell: 5.2123 5.2123 3.2617 Å, 90.00 90.00 120.00°
Space group P6/mmm (No. 191)
Symmetry-distinct sites (fractional):
Dy (0.0000, 0.0000, 0.0000)
Mg (0.3333, 0.6667, 0.5000)

Formation energy ... -68 meV per atom



The following is a r2SCAN calculation of an optimized crystal structure of CeTl, from Materials Project.

Cell: 3.9132 3.9132 3.9132 Å, 90.00 90.00 90.00°
Space group Pm-3m (No. 221)
Symmetry-distinct sites (fractional):
Ce (0.0000, 0.0000, 0.0000)
Tl (0.5000, 0.5000, 0.5000)

Formation energy ... -424 meV per atom



The following is a r2SCAN calculation of an optimized crystal structure of K4Ge2Au7, from Materials Project.

Cell: 6.5160 6.5160 28.0044 Å, 90.00 90.00 120.00°
Space group R-3m (No. 166, hexagonal axes)
Symmetry-distinct sites (fractional):
K (0.0000, 0.0000, 0.1826)
K (0.0000, 0.0000, 0.3104)
Ge (0.0000, 0.0000, 0.0450)
Au (0.0000, 0.0000, 0.5000)
Au (0.0477, 0.5238, 0.2470)

Formation energy ... -384 meV per atom



The following is a r2SCAN calculation of an optimized crystal structure of CsGa7, from Materials Project.

Cell: 6.6406 6.6406 28.9639 Å, 90.00 90.00 120.00°
Space group R-3m (No. 166, hexagonal axes)
Symmetry-distinct sites (fractional):
Cs (0.0000, 0.0000, 0.1937)
Ga (0.0000, 0.0000, 0.4550)
Ga (0.0544, 0.5272, 0.7421)
Ga (0.0675, 0.5338, 0.3517)

Formation energy ... -154 meV per atom



The following is a r2SCAN calculation of an optimized crystal structure of MgPaAu2, from Materials Project.

Cell: 6.9582 6.9582 6.9582 Å, 90.00 90.00 90.00°
Space group Fm-3m (No. 225)
Symmetry-distinct sites (fractional):
Mg (0.0000, 0.0000, 0.0000)
Pa (0.0000, 0.0000, 0.5000)
Au (0.2500, 0.2500, 0.2500)

Formation energy ... -471 meV per atom



The following is a r2SCAN calculation of an optimized crystal structure of SbS8Cl3, from Materials Project.

Cell: 8.2524 8.8861 10.9618 Å, 95.57 107.60 111.25°
Space group P-1 (No. 2)
Symmetry-distinct sites (fractional):
Sb (0.1913, 0.4296, 0.1517)
S (0.0606, 0.2695, 0.4973)
S (0.1239, 0.1693, 0.8607)
S (0.1492, 0.9901, 0.1805)
S (0.1600, 0.7336, 0.6539)
S (0.2779, 0.2992, 0.4340)
S (0.2815, 0.0731, 0.3799)
S (0.2891, 0.0418, 0.9077)
S (0.3429, 0.9754, 0.7453)
Cl (0.2300, 0.6040, 0.9980)
Cl (0.2475, 0.6516, 0.3214)
Cl (0.4959, 0.5432, 0.7881)

Formation energy ... -317 meV per atom



The following is a r2SCAN calculation of an optimized crystal structure of CuTeAs, from Materials Project.

Cell: 12.3425 4.1922 5.7238 Å, 90.00 90.00 90.00°
Space group Pnma (No. 62)
Symmetry-distinct sites (fractional):
Cu (0.1633, 0.2500, 0.1106)
Te (0.1651, 0.7500, 0.8619)
As (0.0177, 0.2500, 0.3747)

Formation energy ... -68 meV per atom



The following is a r2SCAN calculation of an optimized crystal structure of Ho2MgS4, from Materials Project.

Cell: 11.0864 11.0864 11.0864 Å, 90.00 90.00 90.00°
Space group Fd-3m (No. 227, origin choice 2)
Symmetry-distinct sites (fractional):
Ho (0.0000, 0.0000, 0.0000)
Mg (0.1250, 0.1250, 0.6250)
S (0.0049, 0.0049, 0.2451)

Formation energy ... -2174 meV per atom
Offset from the most stable computed form ... 0 meV/atom



The following is a r2SCAN calculation of an optimized crystal structure of Mg14AlSi, from Materials Project.

Cell: 6.2546 6.2546 9.9831 Å, 90.00 90.00 120.00°
Space group P-6m2 (No. 187)
Symmetry-distinct sites (fractional):
Mg (0.0000, 0.0000, 0.2490)
Mg (0.0050, 0.5025, 0.2519)
Mg (0.3317, 0.1658, 0.5000)
Mg (0.3337, 0.1668, 0.0000)
Al (0.3333, 0.6667, 0.0000)
Si (0.3333, 0.6667, 0.5000)

Formation energy ... 46 meV per atom